The following is a DFT calculation (PBE-GGA) of Sr3La after structural relaxation.

Summary:
* DFT formation energy: 149.4 meV per atom
* calculated density: 3.5 g/cm3

Cell: 6.4859 6.4859 6.4859 Å, 60.00 60.00 60.00°
Last column: nearest neighbours and their distance in Å.
Atoms (fractional coordinates):
Sr (0.0000, 0.0000, 0.0000)  8 Sr 3.97
Sr (0.2500, 0.2500, 0.2500)  4 La 3.97, 4 Sr 3.97
Sr (0.7500, 0.7500, 0.7500)  4 La 3.97, 4 Sr 3.97
La (0.5000, 0.5000, 0.5000)  8 Sr 3.97